The following is a DFT calculation (PBE+U) of a geometry-optimized Cs8Fe2O7 structure.

```
Cs8Fe2O7
1.0
7.5045 0.0000 0.0000
0.0000 18.3237 0.0000
-3.6047 0.0000 6.4315
Cs Fe O
16 4 14
Cartesian
0.5284 1.5178 0.9312 Cs
-1.2740 7.6440 4.1470 Cs
1.1590 13.0934 1.3710 Cs
-0.6434 14.3921 4.5867 Cs
1.2021 9.3067 1.4861 Cs
-0.6003 18.1788 4.7019 Cs
-0.5331 3.5136 4.7389 Cs
1.2692 5.6482 1.5232 Cs
2.6306 12.6754 4.9083 Cs
4.4329 14.8101 1.6926 Cs
4.5001 0.1449 1.7297 Cs
2.6977 9.0169 4.9454 Cs
4.5431 3.9316 1.8448 Cs
2.7408 5.2302 5.0606 Cs
5.1738 10.6797 2.2846 Cs
3.3714 16.8058 5.5003 Cs
-0.3885 10.8994 5.5560 Fe
1.4139 16.5861 2.3402 Fe
2.4859 1.7376 4.0913 Fe
4.2883 7.4243 0.8756 Fe
-2.2999 10.9560 5.4068 O
-0.4975 16.5294 2.1910 O
0.4834 11.0730 3.8450 O
2.2858 16.4124 0.6292 O
1.8569 3.1800 2.9494 O
0.0546 5.9818 6.1651 O
1.9499 0.0000 3.2158 O
3.7522 9.1618 0.0000 O
3.8452 12.3418 0.2664 O
2.0429 15.1436 3.4822 O
1.6140 1.9112 5.8023 O
3.4164 7.2506 2.5865 O
4.3973 1.7942 4.2405 O
6.1997 7.3676 1.0247 O
```

Properties
**Density**: 4.83 g cm⁻³
**Formation energy**: -25.3 eV/f.u.

The following is a DFT calculation (PBE+U) of a geometry-optimized Cs4FeO4 structure.

```
Cs4FeO4
1.0
11.1598 0.0000 0.0000
0.0000 7.0669 0.0000
-1.9387 0.0000 11.5409
Cs Fe O
16 4 16
Cartesian
0.0615 0.5472 3.7891 Cs
-0.9078 2.9863 9.5596 Cs
0.8007 4.3438 5.8475 Cs
1.7700 6.2566 0.0770 Cs
2.8471 5.0169 9.0237 Cs
3.8165 5.5835 3.2532 Cs
2.6885 1.6741 10.7805 Cs
3.6578 1.8594 5.0101 Cs
5.5632 5.2076 6.5308 Cs
6.5326 5.3928 0.7604 Cs
5.4046 1.4834 8.2877 Cs
6.3740 2.0501 2.5172 Cs
7.4510 0.8104 11.4639 Cs
8.4204 2.7231 5.6934 Cs
10.1289 4.0806 1.9813 Cs
9.1595 6.5198 7.7518 Cs
1.4074 0.8953 7.4626 Fe
2.3768 2.6382 1.6921 Fe
6.8443 4.4287 9.8488 Fe
7.8137 6.1716 4.0783 Fe
-0.0765 1.5711 6.6497 O
0.8928 1.9624 0.8793 O
1.7025 3.5704 3.1421 O
0.7332 7.0300 8.9125 O
3.5485 3.8249 0.8601 O
2.5792 6.7755 6.6306 O
3.4196 1.1345 1.9671 O
2.4503 2.3989 7.7375 O
6.7708 4.6680 3.8034 O
5.8015 5.9324 9.5738 O
6.6419 0.2914 4.9103 O
5.6726 3.2421 10.6808 O
8.4879 0.0369 2.6283 O
7.5185 3.4966 8.3988 O
8.3283 5.1045 10.6616 O
9.2976 5.4958 4.8911 O
```

Properties
**Density**: 4.75 g cm⁻³
**Formation energy**: -13.5 eV/f.u.

The following is a DFT calculation (PBE+U) of a geometry-optimized Cs2FeO4 structure.

```
Cs2FeO4
1.0
8.5778 0.0000 0.0000
0.0000 6.3848 0.0000
0.0000 0.0000 11.3454
Cs Fe O
8 4 16
Cartesian
0.1068 1.5962 2.1964 Cs
1.4241 4.7886 4.6621 Cs
2.8648 1.5962 10.3348 Cs
4.1821 4.7886 7.8691 Cs
4.3957 1.5962 3.4762 Cs
5.7130 4.7886 1.0106 Cs
7.1537 1.5962 6.6833 Cs
8.4711 4.7886 9.1489 Cs
2.0229 4.7886 0.9143 Fe
2.2660 1.5962 6.5870 Fe
6.3118 4.7886 4.7584 Fe
6.5549 1.5962 10.4311 Fe
0.3659 4.7886 0.9869 O
1.6669 0.2327 7.3346 O
1.6669 2.9597 7.3346 O
1.7573 1.5962 4.9954 O
2.5316 4.7886 10.6680 O
2.6220 3.4251 1.6619 O
2.6220 6.1521 1.6619 O
3.9230 1.5962 6.6596 O
4.6548 4.7886 4.6858 O
5.9559 0.2327 9.6835 O
5.9559 2.9597 9.6835 O
6.0462 1.5962 0.6773 O
6.8205 4.7886 6.3500 O
6.9109 3.4251 4.0108 O
6.9109 6.1521 4.0108 O
8.2120 1.5962 10.3585 O
```

Properties
**Density**: 4.12 g cm⁻³
**Formation energy**: -10.1 eV/f.u.

The following is a DFT calculation (PBE+U) of a geometry-optimized Cs3FeO3 structure.

```
Cs3FeO3
1.0
7.4071 0.0000 0.0000
0.0000 12.3817 0.0000
-1.9602 0.0000 7.6006
Cs Fe O
12 4 12
Cartesian
-0.6599 3.0131 3.1333 Cs
-1.6399 3.1778 6.9336 Cs
1.2506 0.1033 4.8068 Cs
2.2307 6.0875 1.0065 Cs
2.3982 8.7483 3.7744 Cs
1.4181 9.8242 7.5747 Cs
4.0289 2.5575 0.0259 Cs
3.0488 3.6334 3.8262 Cs
3.2163 6.2942 6.5940 Cs
4.1964 12.2783 2.7937 Cs
7.0869 9.2039 0.6670 Cs
6.1069 9.3686 4.4673 Cs
0.8583 0.0995 1.1413 Fe
-0.1217 6.0913 4.9416 Fe
5.5687 6.2904 2.6590 Fe
4.5887 12.2821 6.4593 Fe
0.1061 6.5896 3.0172 O
-0.8740 11.9829 6.8175 O
0.2951 7.5663 6.0530 O
1.2752 11.0062 2.2527 O
1.7307 1.6622 1.7391 O
0.7506 4.5286 5.5394 O
4.6963 7.8530 2.0612 O
3.7163 10.7195 5.8615 O
4.1718 1.3754 5.3479 O
5.1519 4.8154 1.5476 O
6.3210 0.3988 0.7831 O
5.3409 5.7920 4.5834 O
```

Properties
**Density**: 4.79 g cm⁻³
**Formation energy**: -10.9 eV/f.u.

The following is a DFT calculation (PBE+U) of a geometry-optimized Cs3Fe4P5O20 structure.

```
Cs3Fe4P5O20
1.0
9.9915 0.0000 0.0000
0.0000 14.1783 0.0000
0.0000 0.0000 14.4595
Cs Fe P O
12 16 20 80
Cartesian
1.8858 1.5530 1.8339 Cs
1.8858 5.5362 9.0636 Cs
2.4979 10.6337 3.8151 Cs
2.4979 10.6337 11.0448 Cs
3.1100 1.5530 9.0636 Cs
3.1100 5.5362 1.8339 Cs
6.8816 8.6421 12.6256 Cs
6.8816 12.6254 5.3958 Cs
7.4937 3.5446 3.4147 Cs
7.4937 3.5446 10.6444 Cs
8.1058 8.6421 5.3958 Cs
8.1058 12.6254 12.6256 Cs
0.3780 9.3860 0.1325 Fe
0.3780 11.8815 7.3622 Fe
1.2472 0.6386 12.2946 Fe
1.2472 6.4505 5.0648 Fe
3.7486 0.6386 5.0648 Fe
3.7486 6.4505 12.2946 Fe
4.6177 9.3860 7.3622 Fe
4.6177 11.8815 0.1325 Fe
5.3738 2.2968 14.3270 Fe
5.3738 4.7923 7.0973 Fe
6.2430 7.7278 2.1649 Fe
6.2430 13.5397 9.3947 Fe
8.7443 7.7278 9.3947 Fe
8.7443 13.5397 2.1649 Fe
9.6135 2.2968 7.0973 Fe
9.6135 4.7923 14.3270 Fe
0.5682 7.3078 12.1852 P
0.5682 13.9597 4.9554 P
1.3905 8.8135 7.5472 P
1.3905 12.4540 0.3174 P
2.4979 3.5446 5.8218 P
2.4979 3.5446 13.0516 P
3.6052 8.8135 0.3174 P
3.6052 12.4540 7.5472 P
4.4276 7.3078 4.9554 P
4.4276 13.9597 12.1852 P
5.5640 0.2186 2.2743 P
5.5640 6.8705 9.5041 P
6.3863 1.7244 6.9123 P
6.3863 5.3648 14.1421 P
7.4937 10.6337 1.4079 P
7.4937 10.6337 8.6377 P
8.6010 1.7244 14.1421 P
8.6010 5.3648 6.9123 P
9.4233 0.2186 9.5041 P
9.4233 6.8705 2.2743 P
0.1923 8.7088 12.7863 O
0.1923 12.5587 5.5566 O
0.3785 0.8588 6.0181 O
0.3785 6.2304 13.2478 O
0.3960 7.1347 3.4688 O
0.3960 14.1327 10.6985 O
0.4756 8.5868 8.7757 O
0.4756 12.6807 1.5460 O
0.9881 10.0664 6.7324 O
0.9881 11.2011 13.9622 O
1.2859 7.5693 6.6228 O
1.2859 13.6982 13.8526 O
1.3337 3.2115 6.7751 O
1.3337 3.8776 14.0048 O
2.0222 7.3397 11.6667 O
2.0222 13.9278 4.4369 O
2.1194 2.3670 12.1140 O
2.1194 4.7222 4.8842 O
2.1515 8.9429 0.8480 O
2.1515 12.3246 8.0778 O
2.8442 8.9429 8.0778 O
2.8442 12.3246 0.8480 O
2.8764 2.3670 4.8842 O
2.8764 4.7222 12.1140 O
2.9736 7.3397 4.4369 O
2.9736 13.9278 11.6667 O
3.6621 3.2115 14.0048 O
3.6621 3.8776 6.7751 O
3.7099 7.5693 13.8526 O
3.7099 13.6982 6.6228 O
4.0076 10.0664 13.9622 O
4.0076 11.2011 6.7324 O
4.5201 8.5868 1.5460 O
4.5201 12.6807 8.7757 O
4.5998 7.1347 10.6985 O
4.5998 14.1327 3.4688 O
4.6172 0.8588 13.2478 O
4.6172 6.2304 6.0181 O
4.8035 8.7088 5.5566 O
4.8035 12.5587 12.7863 O
5.1881 1.6196 1.6732 O
5.1881 5.4695 8.9029 O
5.3743 7.9479 8.4414 O
5.3743 13.3196 1.2117 O
5.3917 0.0456 10.9907 O
5.3917 7.0436 3.7610 O
5.4714 1.4977 5.6838 O
5.4714 5.5915 12.9135 O
5.9839 2.9773 7.7271 O
5.9839 4.1119 0.4973 O
6.2816 0.4801 7.8367 O
6.2816 6.6091 0.6069 O
6.3295 10.3007 7.6844 O
6.3295 10.9668 0.4546 O
7.0180 0.2505 2.7928 O
7.0180 6.8386 10.0226 O
7.1152 9.4561 2.3455 O
7.1152 11.8114 9.5753 O
7.1473 1.8537 13.6114 O
7.1473 5.2354 6.3817 O
7.8400 1.8537 6.3817 O
7.8400 5.2354 13.6114 O
7.8721 9.4561 9.5753 O
7.8721 11.8114 2.3455 O
7.9693 0.2505 10.0226 O
7.9693 6.8386 2.7928 O
8.6578 10.3007 0.4546 O
8.6578 10.9668 7.6844 O
8.7057 0.4801 0.6069 O
8.7057 6.6091 7.8367 O
9.0034 2.9773 0.4973 O
9.0034 4.1119 7.7271 O
9.5159 1.4977 12.9135 O
9.5159 5.5915 5.6838 O
9.5956 0.0456 3.7610 O
9.5956 7.0436 10.9907 O
9.6130 7.9479 1.2117 O
9.6130 13.3196 8.4414 O
9.7992 1.6196 8.9029 O
9.7992 5.4695 1.6732 O
```

Properties
**Density**: 3.56 g cm⁻³
**Formation energy**: -77.9 eV/f.u.

The following is a DFT calculation (PBE+U) of a geometry-optimized CsFeS2O8 structure.

```
CsFeS2O8
1.0
7.4616 -4.3079 0.0002
4.9745 -0.0002 9.0638
-4.9742 -8.6155 0.0000
S Cs O Fe
8 4 32 4
Cartesian
2.4870 -1.4361 1.6960 S
4.9746 -5.7436 1.6961 S
7.4617 -7.1800 7.3681 S
4.9748 -2.8719 7.3680 S
-0.0001 -5.7438 1.6960 S
2.4877 -7.1797 7.3680 S
4.9746 -11.4878 7.3681 S
2.4875 -10.0514 1.6961 S
0.0002 -8.6156 4.5320 Cs
2.4873 -4.3079 4.5320 Cs
4.9746 -8.6157 4.5321 Cs
7.4617 -4.3080 4.5321 Cs
-1.0954 -9.8239 1.1939 O
1.5943 -8.9603 1.1944 O
2.4875 -7.1799 5.9030 O
6.3661 -5.5166 1.1942 O
1.0960 -7.4076 7.8701 O
8.3549 -8.2711 7.8698 O
3.8790 -9.8245 1.1943 O
3.5830 -3.0996 7.8700 O
-3.3798 -8.9600 1.1941 O
4.9746 -2.8721 5.9030 O
6.0702 -7.4070 7.8699 O
4.4758 -7.0629 1.1938 O
5.4734 -10.1685 7.8703 O
4.9744 -5.7438 3.1611 O
1.9887 -2.7551 1.1940 O
7.4619 -7.1799 5.9031 O
4.0814 -4.6526 1.1942 O
1.9889 -11.3707 1.1938 O
1.3916 -5.5159 1.1939 O
2.9861 -5.8607 7.8698 O
4.9748 -11.4877 5.9031 O
2.4872 -1.4359 3.1610 O
-0.8926 -4.6521 1.1941 O
5.4731 -1.5530 7.8699 O
7.9603 -5.8607 7.8703 O
2.4873 -10.0515 3.1611 O
-0.4985 -7.0628 1.1941 O
5.8674 -3.9635 7.8699 O
3.3802 -8.2714 7.8699 O
10.8420 -3.9634 7.8699 O
0.0000 -5.7437 3.1610 O
8.5573 -3.0994 7.8699 O
0.0003 -8.6171 0.0003 Fe
9.9489 -8.6143 9.0638 Fe
7.4609 -4.3100 9.0633 Fe
2.4884 -12.9216 0.0008 Fe
```

Properties
**Density**: 3.26 g cm⁻³
**Formation energy**: -24.0 eV/f.u.

The following is a DFT calculation (PBE+U) of a geometry-optimized CsFeSiO4 structure.

```
CsFeSiO4
1.0
9.1942 0.0000 0.0000
0.0000 9.8390 0.0000
0.0000 0.0000 5.6410
Cs Fe Si O
4 4 4 16
Cartesian
0.0054 1.9502 0.0000 Cs
4.5918 6.8697 2.8205 Cs
4.6025 2.9693 0.0000 Cs
9.1889 7.8888 2.8205 Cs
1.6668 5.7640 5.5518 Fe
2.9303 0.8445 2.7313 Fe
6.2639 8.9945 5.5518 Fe
7.5274 4.0750 2.7313 Fe
1.8246 4.1239 2.7324 Si
2.7726 9.0434 5.5529 Si
6.4217 0.7957 2.7324 Si
7.3697 5.7152 5.5529 Si
0.1930 4.0885 2.7370 O
2.1948 9.5927 1.3553 O
2.2055 7.5370 5.2522 O
2.2155 0.2073 4.3644 O
2.3816 5.1268 1.5439 O
2.3916 2.6174 2.4317 O
2.4023 4.6732 4.1758 O
4.4041 9.0080 5.5575 O
4.7901 0.8310 2.7370 O
6.7919 5.1658 1.3553 O
6.8026 7.2216 5.2522 O
6.8126 4.7122 4.3644 O
6.9787 9.6317 1.5439 O
6.9888 2.3021 2.4317 O
6.9994 0.2463 4.1758 O
9.0013 5.7505 5.5575 O
```

Properties
**Density**: 3.66 g cm⁻³
**Formation energy**: -17.6 eV/f.u.

The following is a DFT calculation (PBE+U) of a geometry-optimized CsMnGa2P3H4O14 structure.

```
CsMnGa2P3H4O14
1.0
6.8782 -5.2453 0.0000
6.8782 5.2453 0.0000
-2.9022 0.0000 8.5163
Cs Mn Ga P H O
2 2 4 6 8 28
Cartesian
4.7016 3.7791 6.3872 Cs
6.1526 -3.7791 2.1291 Cs
6.1526 2.9337 2.1291 Mn
4.7016 -2.9337 6.3872 Mn
3.2776 0.7822 3.6311 Ga
1.8265 -0.7822 7.8892 Ga
9.0277 0.7822 0.6271 Ga
7.5766 -0.7822 4.8852 Ga
0.9170 1.3525 5.7276 P
2.3681 -1.3525 1.4694 P
6.1526 0.0370 2.1291 P
4.7016 -0.0370 6.3872 P
8.4861 1.3525 7.0469 P
9.9372 -1.3525 2.7887 P
2.1989 1.2815 0.0225 H
1.9443 2.4275 8.0834 H
0.7478 -1.2815 4.2806 H
7.4588 2.4275 4.6910 H
3.3954 -2.4275 3.8253 H
10.1064 1.2815 4.2357 H
8.9099 -2.4275 0.4329 H
8.6553 -1.2815 8.4939 H
4.5649 4.1276 2.8080 O
2.6555 2.3896 2.8866 O
5.2471 3.1660 0.0895 O
1.5517 0.5247 4.5700 O
1.5638 0.9230 7.1036 O
7.7404 4.1276 1.4501 O
3.0028 -0.5247 0.3119 O
7.0582 3.1660 4.1687 O
5.0191 1.0124 2.5781 O
4.2673 0.9056 5.2410 O
3.0149 -0.9230 2.8454 O
5.1358 0.9056 7.5335 O
7.2861 1.0124 1.6801 O
1.2045 -2.3896 7.1448 O
9.6497 2.3896 1.3715 O
3.5680 -1.0124 6.8362 O
5.7183 -0.9056 0.9828 O
7.8393 0.9230 5.6709 O
6.5869 -0.9056 3.2753 O
5.8351 -1.0124 5.9382 O
3.7960 -3.1660 4.3476 O
7.8514 0.5247 8.2044 O
3.1138 -4.1276 7.0662 O
9.2904 -0.9230 1.4128 O
9.3024 -0.5247 3.9463 O
5.6071 -3.1660 8.4268 O
8.1986 -2.3896 5.6297 O
6.2893 -4.1276 5.7083 O
```

Properties
**Density**: 3.50 g cm⁻³
**Formation energy**: -57.2 eV/f.u.